VASP calculation (PBE) on crystalline UNiS3 at its relaxed geometry.

Crystal system: orthorhombic
Calculated density (Mg/m³): 7.46
ΔH_f (0 K) (eV per atom): -1.2811
E (eV/atom): -6.88

a b c (Å): 5.9459 7.0610 8.3290
angles (deg): 90.00 90.00 90.00
Positions (direct):
U1 0.4363 0.8674 0.2500
U2 0.0637 0.3674 0.2500
U3 0.5637 0.1326 0.7500
U4 0.9363 0.6326 0.7500
Ni1 0.5000 0.5000 0.0000
Ni2 0.0000 0.0000 0.5000
Ni3 0.5000 0.5000 0.5000
Ni4 0.0000 0.0000 0.0000
S1 0.1719 0.6667 0.0524
S2 0.3281 0.1667 0.4476
S3 0.8281 0.3333 0.5524
S4 0.6719 0.8333 0.9476
S5 0.8281 0.3333 0.9476
S6 0.6719 0.8333 0.5524
S7 0.1719 0.6667 0.4476
S8 0.3281 0.1667 0.0524
S9 0.8524 0.0375 0.2500
S10 0.6476 0.5375 0.2500
S11 0.1476 0.9625 0.7500
S12 0.3524 0.4625 0.7500